VASP calculation (GGA-PBE) on a relaxed structure of Tl2CdSnTe4.

Cell lengths 7.137, 7.137, 7.137 Å; angles 105.17, 105.17, 118.46 degrees
Fractional positions:
Te (0.580, 0.940, 0.000)
Te (0.940, 0.580, 0.000)
Te (0.420, 0.420, 0.360)
Te (0.060, 0.060, 0.640)
Tl (0.000, 0.500, 0.500)
Tl (0.500, 0.000, 0.500)
Sn (0.000, 0.000, 0.000)
Cd (0.500, 0.500, 0.000)

symmetry = I-42m (121)


VASP calculation (GGA-PBE) on a relaxed structure of Eu3Ho.

Cell lengths 7.642, 7.642, 6.120 Å; angles 90.00, 90.00, 120.00 degrees
Fractional positions:
Eu (0.830, 0.660, 0.750)
Eu (0.170, 0.340, 0.250)
Eu (0.830, 0.170, 0.750)
Eu (0.340, 0.170, 0.750)
Eu (0.170, 0.830, 0.250)
Eu (0.660, 0.830, 0.250)
Ho (0.333, 0.667, 0.750)
Ho (0.667, 0.333, 0.250)

symmetry = P6_3/mmc (194)


VASP calculation (GGA-PBE) on a relaxed structure of B.

Cell lengths 10.123, 10.123, 10.123 Å; angles 65.24, 65.24, 65.24 degrees
Fractional positions:
B (0.801, 0.494, 0.801)
B (0.335, 0.005, 0.005)
B (0.650, 0.826, 0.996)
B (0.199, 0.506, 0.199)
B (0.687, 0.199, 0.199)
B (0.420, 0.904, 0.636)
B (0.316, 0.800, 0.624)
B (0.665, 0.995, 0.995)
B (0.996, 0.650, 0.826)
B (0.895, 0.551, 0.166)
B (0.003, 0.003, 0.164)
B (0.199, 0.687, 0.199)
B (0.995, 0.995, 0.665)
B (0.382, 0.214, 0.382)
B (0.900, 0.900, 0.159)
B (0.650, 0.996, 0.826)
B (0.997, 0.997, 0.836)
B (0.551, 0.166, 0.895)
B (0.104, 0.490, 0.104)
B (0.500, 0.500, 0.500)
B (0.684, 0.376, 0.200)
B (0.636, 0.420, 0.904)
B (0.376, 0.684, 0.200)
B (0.382, 0.382, 0.214)
B (0.005, 0.335, 0.005)
B (0.841, 0.100, 0.100)
B (0.313, 0.801, 0.801)
B (0.511, 0.511, 0.779)
B (0.005, 0.005, 0.335)
B (0.490, 0.104, 0.104)
B (0.104, 0.104, 0.490)
B (0.616, 0.616, 0.432)
B (0.494, 0.801, 0.801)
B (0.826, 0.996, 0.650)
B (0.174, 0.350, 0.004)
B (0.904, 0.636, 0.420)
B (0.836, 0.997, 0.997)
B (0.214, 0.382, 0.382)
B (0.895, 0.166, 0.551)
B (0.896, 0.896, 0.510)
B (0.096, 0.364, 0.580)
B (0.834, 0.105, 0.449)
B (0.615, 0.615, 0.615)
B (0.164, 0.003, 0.003)
B (0.489, 0.221, 0.489)
B (0.449, 0.834, 0.105)
B (0.618, 0.618, 0.786)
B (0.801, 0.313, 0.801)
B (0.489, 0.489, 0.221)
B (0.100, 0.100, 0.841)
B (0.636, 0.904, 0.420)
B (0.800, 0.316, 0.624)
B (0.995, 0.665, 0.995)
B (0.364, 0.096, 0.580)
B (0.350, 0.174, 0.004)
B (0.900, 0.159, 0.900)
B (0.580, 0.096, 0.364)
B (0.826, 0.650, 0.996)
B (0.551, 0.895, 0.166)
B (0.385, 0.385, 0.385)
B (0.105, 0.834, 0.449)
B (0.616, 0.432, 0.616)
B (0.996, 0.826, 0.650)
B (0.449, 0.105, 0.834)
B (0.105, 0.449, 0.834)
B (0.779, 0.511, 0.511)
B (0.316, 0.624, 0.800)
B (0.420, 0.636, 0.904)
B (0.174, 0.004, 0.350)
B (0.100, 0.841, 0.100)
B (0.364, 0.580, 0.096)
B (0.166, 0.551, 0.895)
B (0.510, 0.896, 0.896)
B (0.384, 0.568, 0.384)
B (0.904, 0.420, 0.636)
B (0.506, 0.199, 0.199)
B (0.221, 0.489, 0.489)
B (0.096, 0.580, 0.364)
B (0.997, 0.836, 0.997)
B (0.801, 0.801, 0.313)
B (0.896, 0.510, 0.896)
B (0.568, 0.384, 0.384)
B (0.004, 0.174, 0.350)
B (0.618, 0.786, 0.618)
B (0.624, 0.800, 0.316)
B (0.199, 0.199, 0.506)
B (0.786, 0.618, 0.618)
B (0.199, 0.199, 0.687)
B (0.834, 0.449, 0.105)
B (0.166, 0.895, 0.551)
B (0.624, 0.316, 0.800)
B (0.384, 0.384, 0.568)
B (0.003, 0.164, 0.003)
B (0.200, 0.376, 0.684)
B (0.376, 0.200, 0.684)
B (0.580, 0.364, 0.096)
B (0.159, 0.900, 0.900)
B (0.511, 0.779, 0.511)
B (0.004, 0.350, 0.174)
B (0.432, 0.616, 0.616)
B (0.801, 0.801, 0.494)
B (0.200, 0.684, 0.376)
B (0.684, 0.200, 0.376)
B (0.800, 0.624, 0.316)
B (0.350, 0.004, 0.174)

symmetry = R-3m (166)


VASP calculation (GGA-PBE) on a relaxed structure of La2GeO5.

Cell lengths 7.529, 7.138, 9.685 Å; angles 72.54, 90.00, 90.00 degrees
Fractional positions:
La (0.625, 0.235, 0.978)
La (0.145, 0.416, 0.382)
La (0.875, 0.735, 0.978)
La (0.375, 0.765, 0.022)
La (0.645, 0.084, 0.618)
La (0.355, 0.916, 0.382)
La (0.125, 0.265, 0.022)
La (0.855, 0.584, 0.618)
Ge (0.589, 0.459, 0.299)
Ge (0.911, 0.959, 0.299)
Ge (0.411, 0.541, 0.701)
Ge (0.089, 0.041, 0.701)
O (0.227, 0.553, 0.592)
O (0.877, 0.449, 0.887)
O (0.045, 0.749, 0.370)
O (0.455, 0.249, 0.370)
O (0.077, 0.145, 0.292)
O (0.923, 0.855, 0.708)
O (0.377, 0.051, 0.113)
O (0.638, 0.510, 0.110)
O (0.123, 0.551, 0.113)
O (0.727, 0.947, 0.408)
O (0.773, 0.447, 0.408)
O (0.423, 0.645, 0.292)
O (0.362, 0.490, 0.890)
O (0.273, 0.053, 0.592)
O (0.623, 0.949, 0.887)
O (0.955, 0.251, 0.630)
O (0.138, 0.990, 0.890)
O (0.545, 0.751, 0.630)
O (0.862, 0.010, 0.110)
O (0.577, 0.355, 0.708)

symmetry = P2_1/c (14)


VASP calculation (GGA-PBE) on a relaxed structure of BaPbO3.

Cell lengths 6.184, 6.184, 6.184 Å; angles 120.89, 120.89, 88.46 degrees
Fractional positions:
Ba (0.750, 0.250, 0.500)
Ba (0.250, 0.750, 0.500)
O (0.750, 0.750, 0.000)
O (0.250, 0.250, 0.000)
O (0.803, 0.697, 0.500)
O (0.697, 0.197, 0.893)
O (0.303, 0.803, 0.107)
O (0.197, 0.303, 0.500)
Pb (0.500, 0.500, 0.000)
Pb (0.000, 0.000, 0.000)

symmetry = I4/mcm (140)


VASP calculation (GGA-PBE) on a relaxed structure of YMg14Mo.

Cell lengths 6.449, 6.268, 10.237 Å; angles 90.00, 90.00, 119.08 degrees
Fractional positions:
Mo (0.170, 0.835, 0.125)
Mg (0.657, 0.323, 0.125)
Mg (0.849, 0.674, 0.361)
Mg (0.333, 0.158, 0.373)
Mg (0.163, 0.832, 0.625)
Mg (0.333, 0.675, 0.373)
Mg (0.333, 0.158, 0.877)
Mg (0.168, 0.334, 0.625)
Mg (0.664, 0.335, 0.625)
Mg (0.333, 0.675, 0.877)
Mg (0.834, 0.167, 0.383)
Mg (0.664, 0.829, 0.625)
Mg (0.657, 0.834, 0.125)
Mg (0.849, 0.674, 0.889)
Mg (0.834, 0.167, 0.867)
Y (0.159, 0.330, 0.125)

symmetry = Amm2 (38)


VASP calculation (GGA-PBE) on a relaxed structure of PdSe.

Cell lengths 7.133, 11.792, 11.792 Å; angles 90.00, 90.00, 90.00 degrees
Fractional positions:
Pd (0.000, 0.955, 0.870)
Pd (0.500, 0.643, 0.231)
Pd (0.000, 0.269, 0.857)
Pd (0.500, 0.143, 0.269)
Pd (0.000, 0.731, 0.143)
Pd (0.500, 0.370, 0.455)
Pd (0.750, 0.113, 0.613)
Pd (0.500, 0.630, 0.545)
Pd (0.750, 0.613, 0.887)
Pd (0.000, 0.545, 0.370)
Pd (0.750, 0.387, 0.113)
Pd (0.250, 0.113, 0.613)
Pd (0.250, 0.613, 0.887)
Pd (0.000, 0.455, 0.630)
Pd (0.000, 0.231, 0.357)
Pd (0.500, 0.870, 0.045)
Pd (0.000, 0.045, 0.130)
Pd (0.250, 0.387, 0.113)
Pd (0.750, 0.887, 0.387)
Pd (0.250, 0.887, 0.387)
Pd (0.500, 0.130, 0.955)
Pd (0.000, 0.769, 0.643)
Pd (0.500, 0.857, 0.731)
Pd (0.500, 0.357, 0.769)
Se (0.276, 0.823, 0.890)
Se (0.750, 0.596, 0.096)
Se (0.276, 0.677, 0.390)
Se (0.250, 0.596, 0.096)
Se (0.750, 0.404, 0.904)
Se (0.724, 0.677, 0.390)
Se (0.750, 0.904, 0.596)
Se (0.250, 0.404, 0.904)
Se (0.724, 0.177, 0.110)
Se (0.224, 0.610, 0.677)
Se (0.724, 0.823, 0.890)
Se (0.250, 0.904, 0.596)
Se (0.276, 0.323, 0.610)
Se (0.776, 0.890, 0.177)
Se (0.724, 0.323, 0.610)
Se (0.276, 0.177, 0.110)
Se (0.224, 0.110, 0.823)
Se (0.776, 0.390, 0.323)
Se (0.250, 0.096, 0.404)
Se (0.750, 0.096, 0.404)
Se (0.776, 0.110, 0.823)
Se (0.224, 0.390, 0.323)
Se (0.776, 0.610, 0.677)
Se (0.224, 0.890, 0.177)

symmetry = P4_2/mbc (135)


VASP calculation (GGA-PBE) on a relaxed structure of Ho2CuRu.

Cell lengths 4.835, 4.835, 4.835 Å; angles 60.00, 60.00, 60.00 degrees
Fractional positions:
Ru (0.000, 0.000, 0.000)
Ho (0.750, 0.750, 0.750)
Ho (0.250, 0.250, 0.250)
Cu (0.500, 0.500, 0.500)

symmetry = Fm-3m (225)


| no. | ΔH_f (0 K) (meV per atom) |
| --- | --- |
| 1 | -519 |
| 2 | 83 |
| 3 | 27 |
| 4 | -3330 |
| 5 | -2106 |
| 6 | 98 |
| 7 | -559 |
| 8 | -365 |